one:
# RbLiMg6O7

An optimized crystal structure of RbLiMg6O7 (PBE, Materials Project).

POSCAR file:
```
RbLiMg6O7
1.0
-6.458 -1.503 -5.370
-2.573 -1.298 3.457
-1.426 4.235 0.529
Mg O Li Rb
6 7 1 1
direct
0.235 0.500 0.000
0.772 0.000 0.500
0.493 0.000 0.000
0.772 0.500 0.000
0.518 0.500 0.500
0.235 0.000 0.500
0.730 0.000 0.000
0.469 0.500 0.000
0.740 0.500 0.500
0.000 0.500 0.000
0.249 0.000 0.000
0.000 0.000 0.500
0.469 0.000 0.500
0.988 0.000 0.000
0.080 0.500 0.500
```

As for the volume: 172.8 Å³ per cell.

two:
# RbLiMg6O7

An optimized crystal structure of RbLiMg6O7 (PBE, Materials Project).

POSCAR file:
```
RbLiMg6O7
1.0
4.156 0.000 0.000
0.000 4.156 0.000
0.000 0.000 11.407
Mg O Rb Li
6 7 1 1
direct
0.500 0.500 0.402
0.000 0.500 0.838
0.500 0.000 0.212
0.500 0.500 0.007
0.000 0.500 0.212
0.500 0.000 0.838
0.000 0.000 0.201
0.000 0.500 0.389
0.000 0.000 0.805
0.500 0.000 0.026
0.500 0.000 0.389
0.500 0.500 0.828
0.000 0.500 0.026
0.000 0.000 0.546
0.000 0.000 0.030
```

As for the volume: 197.0 Å³ per cell.

Most stable one: two, least stable one: one.

one:
# LiMg6SbO8

An optimized crystal structure of LiMg6SbO8 (PBE, Materials Project).

POSCAR file:
```
LiMg6SbO8
1.0
8.793 0.000 0.000
0.000 4.387 0.000
0.000 0.000 4.387
Mg O Li Sb
6 8 1 1
direct
0.227 0.500 0.000
0.000 0.500 0.500
0.227 0.000 0.500
0.500 0.500 0.500
0.773 0.500 0.000
0.773 0.000 0.500
0.243 0.000 0.000
0.000 0.500 0.000
0.746 0.500 0.500
0.000 0.000 0.500
0.500 0.000 0.500
0.500 0.500 0.000
0.757 0.000 0.000
0.254 0.500 0.500
0.000 0.000 0.000
0.500 0.000 0.000
```

As for the volume: 169.2 Å³ per cell.

two:
# LiMg6SbO8

An optimized crystal structure of LiMg6SbO8 (PBE, Materials Project).

POSCAR file:
```
LiMg6SbO8
1.0
-8.252 -2.864 -1.073
1.512 -3.927 -1.142
-0.107 -1.255 4.174
Mg O Sb Li
6 8 1 1
direct
0.259 0.000 0.500
0.500 0.000 0.000
0.741 0.000 0.500
0.741 0.500 0.000
0.500 0.500 0.500
0.259 0.500 0.000
0.260 0.000 0.000
0.000 0.500 0.000
0.735 0.500 0.500
0.000 0.000 0.500
0.500 0.000 0.500
0.265 0.500 0.500
0.500 0.500 0.000
0.740 0.000 0.000
0.000 0.500 0.500
0.000 0.000 0.000
```

As for the volume: 167.3 Å³ per cell.

Most stable one: two, least stable one: one.